This record from the Materials Project database describes an optimized crystal structure of NaTi4Cu3O12. The functional is PBE.

POSCAR file:
```
NaTi4Cu3O12
1.0
-3.7151 3.7151 3.7151
3.7151 -3.7151 3.7151
3.7151 3.7151 -3.7151
O Cu Ti Na
12 3 4 1
direct
0.8679 0.1776 0.6903
0.1321 0.8224 0.3097
0.6903 0.8679 0.1776
0.8224 0.3097 0.1321
0.3097 0.1321 0.8224
0.1776 0.3097 0.4873
0.3097 0.4873 0.1776
0.4873 0.1776 0.3097
0.6903 0.5127 0.8224
0.1776 0.6903 0.8679
0.8224 0.6903 0.5127
0.5127 0.8224 0.6903
0.0000 0.5000 0.5000
0.5000 0.5000 0.0000
0.5000 0.0000 0.5000
0.0000 0.0000 0.5000
0.5000 0.5000 0.5000
0.0000 0.5000 0.0000
0.5000 0.0000 0.0000
0.0000 0.0000 0.0000
```

Computed properties:
Energy of formation from the pure elements in eV per atom: -2.518